A plane-wave DFT calculation with meta-GGA r2SCAN was carried out for NbCrP after structural relaxation.

Cell: 6.288 3.536 7.421 Å, 90.00 90.00 90.00°
Sites, in units of the cell vectors:
Nb  0.030  0.250  0.173
Nb  0.470  0.750  0.673
Nb  0.530  0.250  0.327
Nb  0.970  0.750  0.827
Cr  0.143  0.250  0.562
Cr  0.357  0.750  0.062
Cr  0.643  0.250  0.938
Cr  0.857  0.750  0.438
P  0.230  0.750  0.371
P  0.270  0.250  0.871
P  0.730  0.750  0.129
P  0.770  0.250  0.629

Output
- Formation enthalpy at 0 K: -0.721 eV/atom
- Calculated density: 7.08 g cm⁻³

A plane-wave DFT calculation with meta-GGA r2SCAN was carried out for BaGd2S4 after structural relaxation.

Cell: 12.361 4.097 14.677 Å, 90.00 90.00 90.00°
Sites, in units of the cell vectors:
Ba  0.242  0.250  0.161
Ba  0.258  0.750  0.661
Ba  0.742  0.250  0.339
Ba  0.758  0.750  0.839
Gd  0.068  0.250  0.391
Gd  0.080  0.250  0.898
Gd  0.420  0.750  0.398
Gd  0.432  0.750  0.891
Gd  0.568  0.250  0.109
Gd  0.580  0.250  0.602
Gd  0.920  0.750  0.102
Gd  0.932  0.750  0.609
S  0.023  0.750  0.783
S  0.081  0.250  0.577
S  0.125  0.750  0.023
S  0.207  0.750  0.334
S  0.293  0.250  0.834
S  0.375  0.250  0.523
S  0.419  0.750  0.077
S  0.477  0.250  0.283
S  0.523  0.750  0.717
S  0.581  0.250  0.923
S  0.625  0.750  0.477
S  0.707  0.750  0.166
S  0.793  0.250  0.666
S  0.875  0.250  0.977
S  0.919  0.750  0.423
S  0.977  0.250  0.217

Output
- Formation enthalpy at 0 K: -2.402 eV/atom
- Calculated density: 5.18 g cm⁻³

A plane-wave DFT calculation with meta-GGA r2SCAN was carried out for Tm2Sc3Si4 after structural relaxation.

Cell: 7.036 13.878 7.347 Å, 90.00 90.00 90.00°
Sites, in units of the cell vectors:
Tm  0.011  0.097  0.177
Tm  0.011  0.403  0.177
Tm  0.489  0.597  0.677
Tm  0.489  0.903  0.677
Tm  0.511  0.097  0.323
Tm  0.511  0.403  0.323
Tm  0.989  0.597  0.823
Tm  0.989  0.903  0.823
Sc  0.163  0.750  0.504
Sc  0.170  0.126  0.677
Sc  0.170  0.374  0.677
Sc  0.330  0.626  0.177
Sc  0.330  0.874  0.177
Sc  0.337  0.250  0.004
Sc  0.663  0.750  0.996
Sc  0.670  0.126  0.823
Sc  0.670  0.374  0.823
Sc  0.830  0.626  0.323
Sc  0.830  0.874  0.323
Sc  0.837  0.250  0.496
Si  0.033  0.750  0.112
Si  0.160  0.538  0.466
Si  0.160  0.962  0.466
Si  0.214  0.250  0.370
Si  0.286  0.750  0.870
Si  0.340  0.038  0.966
Si  0.340  0.462  0.966
Si  0.467  0.250  0.612
Si  0.533  0.750  0.388
Si  0.660  0.538  0.034
Si  0.660  0.962  0.034
Si  0.714  0.250  0.130
Si  0.786  0.750  0.630
Si  0.840  0.038  0.534
Si  0.840  0.462  0.534
Si  0.967  0.250  0.888

Output
- Formation enthalpy at 0 K: -0.870 eV/atom
- Calculated density: 5.42 g cm⁻³

A plane-wave DFT calculation with meta-GGA r2SCAN was carried out for LiBPt3 after structural relaxation.

Cell: 9.281 9.281 2.775 Å, 90.00 90.00 120.00°
Sites, in units of the cell vectors:
Li  0.000  0.363  0.000
Li  0.363  0.000  0.000
Li  0.637  0.637  0.000
B  0.000  0.000  0.500
B  0.333  0.667  0.000
B  0.667  0.333  0.000
Pt  0.000  0.823  0.000
Pt  0.165  0.681  0.500
Pt  0.177  0.177  0.000
Pt  0.319  0.484  0.500
Pt  0.484  0.319  0.500
Pt  0.516  0.835  0.500
Pt  0.681  0.165  0.500
Pt  0.823  0.000  0.000
Pt  0.835  0.516  0.500

Output
- Formation enthalpy at 0 K: -0.565 eV/atom
- Calculated density: 14.51 g cm⁻³

A plane-wave DFT calculation with meta-GGA r2SCAN was carried out for PrSnPd after structural relaxation.

Cell: 7.585 4.727 8.007 Å, 90.00 90.00 90.00°
Sites, in units of the cell vectors:
Pr  0.013  0.250  0.202
Pr  0.487  0.750  0.702
Pr  0.513  0.250  0.298
Pr  0.987  0.750  0.798
Sn  0.188  0.250  0.588
Sn  0.312  0.750  0.088
Sn  0.688  0.250  0.912
Sn  0.812  0.750  0.412
Pd  0.199  0.750  0.416
Pd  0.301  0.250  0.916
Pd  0.699  0.750  0.084
Pd  0.801  0.250  0.584

Output
- Formation enthalpy at 0 K: -0.951 eV/atom
- Calculated density: 8.47 g cm⁻³

A plane-wave DFT calculation with meta-GGA r2SCAN was carried out for B11Rh18 after structural relaxation.

Cell: 5.492 6.856 9.112 Å, 110.86 94.52 90.58°
Sites, in units of the cell vectors:
B  0.000  0.000  0.000
B  0.039  0.761  0.623
B  0.113  0.479  0.040
B  0.226  0.147  0.544
B  0.377  0.434  0.365
B  0.480  0.150  0.876
B  0.556  0.614  0.760
B  0.675  0.346  0.277
B  0.811  0.613  0.088
B  0.871  0.853  0.274
B  0.928  0.290  0.602
Rh  0.058  0.576  0.300
Rh  0.121  0.199  0.783
Rh  0.170  0.830  0.130
Rh  0.253  0.482  0.586
Rh  0.276  0.854  0.837
Rh  0.292  0.233  0.095
Rh  0.354  0.866  0.542
Rh  0.443  0.528  0.949
Rh  0.470  0.131  0.358
Rh  0.554  0.641  0.272
Rh  0.590  0.239  0.688
Rh  0.672  0.905  0.089
Rh  0.746  0.529  0.540
Rh  0.756  0.908  0.792
Rh  0.785  0.279  0.048
Rh  0.860  0.943  0.511
Rh  0.915  0.568  0.854
Rh  0.969  0.180  0.340

Output
- Formation enthalpy at 0 K: -0.322 eV/atom
- Calculated density: 10.25 g cm⁻³

A plane-wave DFT calculation with meta-GGA r2SCAN was carried out for TcO2 after structural relaxation.

Cell: 5.493 4.789 5.542 Å, 90.00 118.51 90.00°
Sites, in units of the cell vectors:
Tc  0.235  0.005  0.220
Tc  0.235  0.495  0.720
Tc  0.765  0.505  0.280
Tc  0.765  0.995  0.780
O  0.108  0.711  0.378
O  0.108  0.789  0.878
O  0.395  0.191  0.590
O  0.395  0.309  0.090
O  0.605  0.691  0.910
O  0.605  0.809  0.410
O  0.892  0.211  0.122
O  0.892  0.289  0.622

Output
- Excess energy over the best structure of this formula in the dataset: 0.0000 eV per atom
- Formation enthalpy at 0 K: -1.682 eV/atom
- Calculated density: 6.74 g cm⁻³

A plane-wave DFT calculation with meta-GGA r2SCAN was carried out for Ca2Si after structural relaxation.

Cell: 7.605 4.832 9.022 Å, 90.00 90.00 90.00°
Sites, in units of the cell vectors:
Ca  0.019  0.250  0.179
Ca  0.154  0.250  0.575
Ca  0.346  0.750  0.075
Ca  0.481  0.750  0.679
Ca  0.519  0.250  0.321
Ca  0.654  0.250  0.925
Ca  0.846  0.750  0.425
Ca  0.981  0.750  0.821
Si  0.247  0.750  0.396
Si  0.253  0.250  0.896
Si  0.747  0.750  0.104
Si  0.753  0.250  0.604

Output
- Formation enthalpy at 0 K: -0.533 eV/atom
- Calculated density: 2.17 g cm⁻³